Entry from the Materials Project: a relaxed structure of Cs2Pr10Ru2I17 (PBE).

- crystal system = monoclinic
- space group = No. 12
- formation energy from the elements (eV/atom) = -1.47
- E_tot (eV per atom) = -4.295
- spin magnetization (μB per formula unit) = 2.94

Unit cell a=11.7974 b=11.7974 c=10.1901 alpha=86.31 beta=86.31 gamma=107.41
With the nearest neighbours (Å) after each atom.
Fractional coordinates of all 31 atoms:
Cs 0.3257 0.6743 0.0000  12 I 4.25-4.55
Cs 0.6743 0.3257 0.0000  12 I 4.25-4.55
Pr 0.7927 0.7927 0.1810  1 Ru 2.81
Pr 0.3287 0.3287 0.4445  1 Ru 2.80
Pr 0.2900 0.9945 0.5723  1 Ru 2.81
Pr 0.0651 0.0651 0.3120  2 Ru 2.92-2.99
Pr 0.0055 0.7100 0.4277  1 Ru 2.81
Pr 0.9945 0.2900 0.5723  1 Ru 2.81
Pr 0.2073 0.2073 0.8190  1 Ru 2.81
Pr 0.6713 0.6713 0.5555  1 Ru 2.80
Pr 0.9349 0.9349 0.6880  2 Ru 2.92-2.99
Pr 0.7100 0.0055 0.4277  1 Ru 2.81
Ru 0.1400 0.1400 0.5690  6 Pr 2.80-2.99
Ru 0.8600 0.8600 0.4310  6 Pr 2.80-2.99
I 0.8111 0.4738 0.5785  3 Pr 3.24-3.49
I 0.0000 0.0000 0.0000  4 Pr 3.26-3.40
I 0.4365 0.4365 0.7164  3 Pr 3.26-3.50
I 0.9498 0.6167 0.1407  2 Pr 3.20-3.23
I 0.1889 0.5262 0.4215  3 Pr 3.24-3.49
I 0.6167 0.9498 0.1407  2 Pr 3.20-3.23
I 0.5635 0.5635 0.2836  3 Pr 3.26-3.50
I 0.2884 0.2884 0.1332  3 Pr 3.28-3.51
I 0.1002 0.7540 0.7233  3 Pr 3.26-3.31
I 0.3833 0.0502 0.8593  2 Pr 3.20-3.23
I 0.0502 0.3833 0.8593  2 Pr 3.20-3.23
I 0.8998 0.2460 0.2767  3 Pr 3.26-3.31
I 0.7540 0.1002 0.7233  3 Pr 3.26-3.31
I 0.4738 0.8111 0.5785  3 Pr 3.24-3.49
I 0.7116 0.7116 0.8668  3 Pr 3.28-3.51
I 0.5262 0.1889 0.4215  3 Pr 3.24-3.49
I 0.2460 0.8998 0.2767  3 Pr 3.26-3.31